No. 1
Entry from Materials Project: MgTiVO4 after structural relaxation (PBE+U).

Lattice parameters (Å, degrees): 2.9827 5.0473 5.1877 89.92 90.00 90.00
Fractional positions:
V 0.0327 0.0000 0.0000
Mg 0.0326 0.0000 0.5000
O 0.0329 0.6647 0.6991
O 0.0329 0.3353 0.3009
O 0.5327 0.8303 0.2701
O 0.5327 0.1697 0.7299
Ti 0.5326 0.5000 0.5000

=====

No. 2
Entry from Materials Project: Ti4Fe6O15 after structural relaxation (PBE+U).

Lattice parameters (Å, degrees): 7.6473 8.9154 9.1616 80.68 71.48 66.51
Fractional positions:
O 0.6727 0.3775 0.9409
O 0.6696 0.0325 0.9338
O 0.2751 0.5860 0.5327
O 0.4905 0.2818 0.7532
O 0.0836 0.4897 0.3512
O 0.1431 0.5615 0.8784
O 0.0764 0.1850 0.3446
O 0.4692 0.6248 0.7296
O 0.8778 0.7905 0.1324
O 0.7102 0.1121 0.4479
O 0.2660 0.2262 0.5300
O 0.9236 0.8150 0.6554
O 0.1066 0.9190 0.8615
O 0.5308 0.3752 0.2704
O 0.0636 0.8268 0.3180
O 0.7340 0.7738 0.4700
O 0.7249 0.4140 0.4673
O 0.9364 0.1732 0.6820
O 0.5286 0.0098 0.2615
O 0.3126 0.3082 0.0516
O 0.3273 0.6225 0.0591
O 0.2898 0.8879 0.5521
O 0.5095 0.7182 0.2468
O 0.3304 0.9675 0.0662
O 0.9164 0.5103 0.6488
O 0.8569 0.4385 0.1216
O 0.6874 0.6918 0.9484
O 0.4714 0.9902 0.7385
O 0.8934 0.0810 0.1385
O 0.1222 0.2095 0.8676
Fe 0.7429 0.0550 0.6773
Fe 0.6626 0.7441 0.7240
Fe 0.8610 0.1429 0.9258
Fe 0.4633 0.3401 0.5232
Fe 0.2571 0.9450 0.3227
Fe 0.3374 0.2559 0.2760
Fe 0.9383 0.4593 0.8728
Fe 0.5367 0.6599 0.4768
Fe 0.1661 0.7390 0.7236
Fe 0.1390 0.8571 0.0742
Fe 0.8339 0.2610 0.2764
Fe 0.0617 0.5407 0.1272
Ti 0.3569 0.1446 0.9250
Ti 0.4318 0.4607 0.8728
Ti 0.0369 0.6608 0.4781
Ti 0.5682 0.5393 0.1272
Ti 0.9631 0.3392 0.5219
Ti 0.2404 0.0565 0.6742
Ti 0.7596 0.9435 0.3258
Ti 0.6431 0.8554 0.0750

=====

No. 3
Entry from Materials Project: Mg6CdNiO8 after structural relaxation (PBE+U).

Lattice parameters (Å, degrees): 8.6553 4.3558 4.3558 90.00 90.00 90.00
Fractional positions:
Ni 0.0000 0.0000 0.0000
Mg 0.5000 0.0000 0.0000
Mg 0.2539 0.0000 0.5000
Mg 0.7461 0.0000 0.5000
Mg 0.5000 0.5000 0.5000
Mg 0.2539 0.5000 0.0000
Mg 0.7461 0.5000 0.0000
O 0.2492 0.0000 0.0000
O 0.0000 0.5000 0.0000
O 0.0000 0.0000 0.5000
O 0.5000 0.5000 0.0000
O 0.7508 0.0000 0.0000
O 0.2664 0.5000 0.5000
O 0.5000 0.0000 0.5000
O 0.7336 0.5000 0.5000
Cd 0.0000 0.5000 0.5000

=====

No. 4
Entry from Materials Project: LiCrSiO4 after structural relaxation (PBE+U).

The maximum piezoelectric response is 0.021 C/m².

Lattice parameters (Å, degrees): 5.6992 8.0485 5.6992 90.00 90.00 90.00
Fractional positions:
O 0.5043 0.0009 0.7402
O 0.5043 0.9991 0.2598
O 0.2598 0.7491 0.4957
O 0.4957 0.5009 0.2598
O 0.2602 0.2609 0.9844
O 0.7402 0.7509 0.4957
O 0.4957 0.4991 0.7402
O 0.9844 0.0109 0.7398
O 0.7402 0.2491 0.5043
O 0.9844 0.9891 0.2602
O 0.7398 0.2391 0.9844
O 0.2598 0.2509 0.5043
O 0.7398 0.7609 0.0156
O 0.0156 0.5109 0.2602
O 0.0156 0.4891 0.7398
O 0.2602 0.7391 0.0156
Si 0.7448 0.1250 0.7448
Si 0.2552 0.3750 0.7448
Si 0.2552 0.6250 0.2552
Si 0.7448 0.8750 0.2552
Cr 0.5000 0.7500 0.7649
Cr 0.7649 0.5000 0.5000
Cr 0.2351 0.0000 0.5000
Cr 0.5000 0.2500 0.2351
Li 0.2201 0.0000 0.0000
Li 0.0000 0.2500 0.2201
Li 0.0000 0.7500 0.7799
Li 0.7799 0.5000 0.0000

=====

no.,DFT formation energy (meV per atom)
1,-2814
2,-2497
3,-2531
4,-2740